# BaNaCeSbO6

A geometry-optimized BaNaCeSbO6 structure (PBE, the Materials Project database). Values from VASP.

```
&SYSTEM
  ibrav = 0, nat = 40, ntyp = 5
/
ATOMIC_SPECIES
Ce 140.12 Ce.upf
O 16.00 O.upf
Ba 137.33 Ba.upf
Na 22.99 Na.upf
Sb 121.76 Sb.upf
ATOMIC_POSITIONS angstrom
Ce 6.3356 6.3524 6.3422
Ce 2.1119 2.1175 6.3422
Ce 2.1119 6.3524 2.1141
Ce 6.3356 2.1175 2.1141
O 6.1854 1.9604 4.3404
O 2.0232 4.3417 6.1808
O 1.9617 2.2746 0.1123
O 6.2469 8.3632 1.9527
O 4.3293 6.1813 1.9917
O 6.4857 2.2746 8.3439
O 8.3418 1.9464 6.2198
O 2.2620 6.5095 4.3404
O 8.3418 6.5235 2.2364
O 4.1181 6.1813 6.4645
O 1.9617 6.1954 8.3439
O 6.4857 6.1954 0.1123
O 0.1056 6.5235 6.2198
O 6.1854 6.5095 4.1158
O 2.2620 1.9604 4.1158
O 0.1056 1.9464 2.2364
O 6.4242 4.3417 2.2754
O 4.1181 2.2886 1.9917
O 4.3293 2.2886 6.4645
O 2.2005 0.1067 1.9527
O 6.2469 0.1067 6.5035
O 6.4242 4.1283 6.1808
O 2.0232 4.1283 2.2754
O 2.2005 8.3632 6.5035
Ba 4.2237 4.2350 0.0000
Ba 4.2237 4.2350 4.2281
Ba 0.0000 0.0000 0.0000
Ba 0.0000 0.0000 4.2281
Na 0.0000 4.2350 4.2281
Na 4.2237 0.0000 0.0000
Na 0.0000 4.2350 0.0000
Na 4.2237 0.0000 4.2281
Sb 2.1119 6.3524 6.3422
Sb 6.3356 2.1175 6.3422
Sb 6.3356 6.3524 2.1141
Sb 2.1119 2.1175 2.1141
CELL_PARAMETERS angstrom
8.4474 0.0000 0.0000
0.0000 8.4699 0.0000
0.0000 0.0000 8.4562
```

Summary:
- SG = No. 48
- size of the total moment (μB per atom) = 0.0000

---

# BeO2

A geometry-optimized BeO2 structure (PBE, the Materials Project database). Values from VASP.

```
&SYSTEM
  ibrav = 0, nat = 12, ntyp = 2
/
ATOMIC_SPECIES
O 16.00 O.upf
Be 9.01 Be.upf
ATOMIC_POSITIONS angstrom
O 1.5662 2.6330 1.9455
O 3.6690 3.8391 6.1899
O 0.5366 1.6818 6.0132
O 0.7812 0.5831 0.2419
O 3.4244 2.7405 3.8257
O 2.6394 0.4756 2.1222
O 1.3216 3.7316 4.3096
O 2.8840 1.5742 7.8934
Be 4.0264 0.7823 7.1114
Be 2.2820 3.5324 3.0437
Be 1.9236 1.3751 1.0240
Be 0.1792 2.9396 5.0916
CELL_PARAMETERS angstrom
4.2056 0.0000 0.0000
0.0000 4.3147 0.0000
0.0000 0.0000 8.1354
```

Summary:
- SG = No. 19
- size of the total moment (μB per atom) = 0.6664
- energy above the lowest structure with this stoichiometry (meV per atom) = 155

---

# Sr7ZrSi6O21

A geometry-optimized Sr7ZrSi6O21 structure (PBE, the Materials Project database). Values from VASP.

```
&SYSTEM
  ibrav = 0, nat = 35, ntyp = 4
/
ATOMIC_SPECIES
Si 28.09 Si.upf
O 16.00 O.upf
Zr 91.22 Zr.upf
Sr 87.62 Sr.upf
ATOMIC_POSITIONS angstrom
Si 2.9964 1.8723 0.5523
Si 3.3278 -1.8723 7.0099
Si 4.3211 2.6199 6.1792
Si 2.0031 -2.6199 1.3830
Si 6.8088 -0.7476 4.0987
Si -0.4846 0.7476 3.4635
O 3.0728 1.7656 5.6345
O 5.7891 -1.5192 0.0925
O 4.7262 -5.8421 1.8314
O -1.9601 0.0000 3.7811
O 0.5351 1.5192 7.4697
O 0.5367 -5.0433 6.6183
O 0.6315 -0.2062 4.1186
O 3.3469 -1.9718 5.4054
O 8.2989 -0.7988 0.1269
O -0.2617 -3.0349 5.1528
O -1.9746 0.7988 7.4353
O 4.5675 -4.5541 4.0974
O 2.5611 3.4028 0.0000
O 2.9774 1.9718 2.1568
O 2.5611 -3.4028 0.0000
O 5.7875 5.0433 0.9438
O 5.6927 0.2062 3.4435
O 1.7567 4.5541 3.4647
O 6.5859 3.0349 2.4094
O 1.5980 5.8421 5.7307
O 3.2514 -1.7656 1.9276
Zr 0.0000 0.0000 0.0000
Sr 4.1662 4.0749 2.8098
Sr 5.2700 -3.2441 1.8866
Sr 6.4684 0.8308 1.1477
Sr 1.0542 3.2441 5.6755
Sr -0.1441 -0.8308 6.4145
Sr 3.1621 0.0000 3.7811
Sr 2.1580 -4.0749 4.7524
CELL_PARAMETERS angstrom
5.1222 -6.8057 0.0000
5.1222 6.8057 0.0000
-3.9202 0.0000 7.5622
```

Summary:
- SG = No. 148
- size of the total moment (μB per atom) = 0.0001

---

# LaMoN3

A geometry-optimized LaMoN3 structure (PBE, the Materials Project database). Values from VASP.

```
&SYSTEM
  ibrav = 0, nat = 10, ntyp = 3
/
ATOMIC_SPECIES
La 138.91 La.upf
N 14.01 N.upf
Mo 95.94 Mo.upf
ATOMIC_POSITIONS angstrom
La 2.9178 3.2915 5.2103
La 0.9726 5.1322 2.3466
N 0.9726 3.0843 0.8293
N 0.9726 4.7985 4.7843
N 0.9726 7.6278 5.7658
N 2.9178 3.6252 2.7725
N 2.9178 0.7959 1.7911
N 2.9178 5.3394 6.7276
Mo 2.9178 2.5107 1.2784
Mo 0.9726 5.9130 6.2785
CELL_PARAMETERS angstrom
3.8904 0.0000 0.0000
0.0000 5.8356 0.0000
0.0000 2.5881 7.5569
```

Summary:
- SG = No. 11
- size of the total moment (μB per atom) = 0.0000

---

# YHoRh2

A geometry-optimized YHoRh2 structure (PBE, the Materials Project database). Values from VASP.

```
&SYSTEM
  ibrav = 0, nat = 4, ntyp = 3
/
ATOMIC_SPECIES
Ho 164.93 Ho.upf
Rh 102.91 Rh.upf
Y 88.91 Y.upf
ATOMIC_POSITIONS angstrom
Ho 2.9059 -5.0847 -0.7269
Rh 4.3589 -7.6271 -1.0904
Rh 1.4530 -2.5424 -0.3635
Y 0.0000 0.0000 0.0000
CELL_PARAMETERS angstrom
4.0425 -2.4053 1.0445
-0.1513 -4.7587 0.7415
1.9206 -3.0054 -3.2399
```

Summary:
- SG = No. 225

---

# Rb7Th2P6Se21

A geometry-optimized Rb7Th2P6Se21 structure (PBE, the Materials Project database). Values from VASP.

```
&SYSTEM
  ibrav = 0, nat = 72, ntyp = 4
/
ATOMIC_SPECIES
Rb 85.47 Rb.upf
Se 78.96 Se.upf
P 30.97 P.upf
Th 232.04 Th.upf
ATOMIC_POSITIONS angstrom
Rb 7.6360 12.7221 2.8230
Rb 9.9575 6.3891 4.0212
Rb 8.7432 2.3667 6.5447
Rb 4.5680 2.7758 14.3209
Rb 14.7044 12.9112 10.4730
Rb 5.1877 9.0015 5.1578
Rb 11.4211 4.3502 10.8507
Rb 12.0409 10.5758 1.6876
Rb 4.8309 8.9657 0.1658
Rb 6.6514 6.9626 11.9873
Rb 1.9044 0.4405 5.5355
Rb 11.7779 4.3860 15.8428
Rb 7.8657 10.9850 9.4639
Rb 8.9728 0.6296 13.1855
Se 15.4115 11.9178 13.7277
Se 12.2396 11.2089 14.9260
Se 4.3231 9.5421 11.3769
Se 5.1265 5.5597 2.2436
Se 11.2779 11.3720 7.9251
Se 6.5690 5.8954 5.6943
Se 7.1533 12.7276 15.5386
Se 12.2858 3.8095 4.6317
Se 15.0082 6.2569 13.7087
Se 4.3854 4.1169 10.7403
Se 1.6007 7.0947 2.2999
Se 10.0399 7.4563 10.3142
Se 14.1875 6.7679 9.7994
Se 12.2234 9.2347 5.2683
Se 7.7796 3.4247 3.3925
Se 8.5091 9.4226 3.5607
Se 7.6184 4.8563 8.8359
Se 9.7148 7.4718 0.4482
Se 5.6123 7.7216 8.6037
Se 7.3915 11.6764 6.1982
Se 6.8941 5.8799 15.5603
Se 4.3692 2.1428 1.0826
Se 5.4934 0.6745 11.5627
Se 5.3348 9.2967 14.8978
Se 1.1974 1.4339 2.2808
Se 9.4556 0.6241 0.4700
Se 13.8632 3.3728 7.8668
Se 11.2740 4.0550 1.1108
Se 11.1155 12.6772 4.4458
Se 11.4823 7.7920 13.7649
Se 12.3637 9.9562 11.0812
Se 9.2174 1.6753 9.8104
Se 4.2451 3.3955 4.9273
Se 8.0998 3.9291 12.4478
Se 2.7456 9.9788 8.1417
Se 8.9904 8.4954 7.1726
Se 8.8293 9.9270 12.6160
Se 5.3309 1.9797 8.0834
Se 12.1954 1.8028 13.1763
Se 10.9966 5.6301 7.4049
Se 2.4214 6.5838 6.2091
Se 4.4134 11.5489 2.8322
P 5.7132 2.3796 10.2509
P 8.7984 10.1015 5.6188
P 1.3670 6.7701 0.1236
P 6.0032 4.5172 4.0267
P 15.2419 6.5816 15.8849
P 10.6057 8.8345 11.9818
P 10.8956 10.9720 5.7576
P 13.6402 12.9735 14.6407
P 3.7372 8.5019 9.4951
P 7.8104 3.2501 10.3897
P 12.8716 4.8498 6.5134
P 2.9687 0.3782 1.3678
Th 2.5116 4.1067 2.3883
Th 12.0017 8.4274 8.1611
Th 14.0972 9.2450 13.6202
Th 4.6072 4.9243 7.8474
CELL_PARAMETERS angstrom
11.8263 0.0000 0.0000
0.6925 12.6431 0.0000
4.0901 0.7086 16.0085
```

Summary:
- SG = No. 2
- size of the total moment (μB per atom) = 0.0000

---

# Sn2OF2

A geometry-optimized Sn2OF2 structure (PBE, the Materials Project database). Values from VASP.

```
&SYSTEM
  ibrav = 0, nat = 10, ntyp = 3
/
ATOMIC_SPECIES
F 19.00 F.upf
Sn 118.71 Sn.upf
O 16.00 O.upf
ATOMIC_POSITIONS angstrom
F -1.4970 6.8675 4.1434
F 1.4970 6.8675 4.1434
F 1.4970 3.1929 1.0430
F -1.4970 3.1929 1.0430
Sn 0.0000 2.7067 5.1233
Sn 0.0000 7.3536 0.0631
Sn -1.6568 5.0302 2.5932
Sn 1.6568 5.0302 2.5932
O 0.0000 5.9174 1.5847
O 0.0000 4.1429 3.6018
CELL_PARAMETERS angstrom
4.0863 4.7014 0.0000
-4.0863 4.7014 0.0000
0.0000 0.6576 5.1865
```

Summary:
- SG = No. 12
- energy above the lowest structure with this stoichiometry (meV per atom) = 0

---

# Sc2Si4W3

A geometry-optimized Sc2Si4W3 structure (PBE, the Materials Project database). Values from VASP.

```
&SYSTEM
  ibrav = 0, nat = 36, ntyp = 3
/
ATOMIC_SPECIES
Si 28.09 Si.upf
W 183.84 W.upf
Sc 44.96 Sc.upf
ATOMIC_POSITIONS angstrom
Si 1.9916 0.9705 3.1656
Si 5.4737 3.1414 12.1004
Si 4.5887 5.8186 9.4967
Si 4.3968 6.5359 5.7693
Si 0.2387 5.9848 3.1656
Si 1.1066 3.6476 5.7693
Si 3.0515 2.5903 9.4967
Si 5.4737 3.1414 6.8930
Si 4.3968 6.5359 0.5619
Si 1.2985 4.3650 9.4967
Si 1.1066 3.6476 0.5619
Si 5.2818 2.4240 3.1656
Si 6.3416 0.8043 9.4967
Si 2.1835 0.2531 6.8930
Si 3.5288 4.1988 3.1656
Si 2.1835 0.2531 12.1004
W 2.1897 5.6727 1.5774
W 1.0997 3.3705 3.1656
W 5.4798 4.5108 1.5774
W 4.3906 1.1163 11.0849
W 4.3898 0.0240 3.1656
W 4.3906 1.1163 7.9085
W 1.1005 2.2782 7.9085
W 5.4798 4.5108 4.7537
W 2.1905 6.7650 9.4967
W 5.4806 3.4186 9.4967
W 1.1005 2.2782 11.0849
W 2.1897 5.6727 4.7537
Sc 0.0453 1.1509 1.1702
Sc 3.3355 2.2436 5.1609
Sc 3.3355 2.2436 1.1702
Sc 3.2448 4.5455 11.4920
Sc 3.2448 4.5455 7.5014
Sc 6.5350 5.6381 11.4920
Sc 0.0453 1.1509 5.1609
Sc 6.5350 5.6381 7.5014
CELL_PARAMETERS angstrom
6.5803 0.0000 0.0000
0.0000 6.7890 0.0000
0.0000 0.0000 12.6623
```

Summary:
- SG = No. 62
- size of the total moment (μB per atom) = 0.0001

---

no.,calculated total energy (eV for the cell shown),ΔH_f (0 K) (eV per atom)
1,-268.335,-2.821
2,-66.155,-1.426
3,-263.234,-3.452
4,-90.334,-1.092
5,-29.264,-0.872
6,-314.104,-1.094
7,-52.420,-2.205
8,-314.318,-0.593